Material: Li4Mn3CoO8
Method: DFT, GGA+U
State: optimized geometry

Unit cell a=5.9201 b=5.9828 c=10.2570 alpha=74.49 beta=73.40 gamma=60.66
Sites, in units of the cell vectors:
Li (0.2384, 0.2500, 0.2498)
Li (0.2420, 0.7424, 0.2551)
Li (0.2529, 0.7493, 0.7501)
Li (0.2602, 0.2435, 0.7557)
Li (0.7398, 0.7565, 0.2443)
Li (0.7471, 0.2507, 0.2499)
Li (0.7580, 0.2576, 0.7449)
Li (0.7616, 0.7500, 0.7502)
Mn (0.0000, 0.0000, 0.0000)
Mn (0.0000, 0.0000, 0.5000)
Mn (0.0000, 0.5000, 0.0000)
Mn (0.5000, 0.0000, 0.5000)
Mn (0.5000, 0.5000, 0.0000)
Mn (0.5000, 0.5000, 0.5000)
Co (0.0000, 0.5000, 0.5000)
Co (0.5000, 0.0000, 0.0000)
O (0.1034, 0.6092, 0.1266)
O (0.1072, 0.1498, 0.1073)
O (0.1364, 0.6508, 0.6067)
O (0.1405, 0.1118, 0.6104)
O (0.3363, 0.8929, 0.3737)
O (0.3589, 0.3877, 0.8893)
O (0.3633, 0.8567, 0.8917)
O (0.3868, 0.3604, 0.3906)
O (0.6132, 0.6396, 0.6094)
O (0.6367, 0.1433, 0.1083)
O (0.6411, 0.6123, 0.1107)
O (0.6637, 0.1071, 0.6263)
O (0.8595, 0.8882, 0.3896)
O (0.8636, 0.3492, 0.3933)
O (0.8928, 0.8502, 0.8927)
O (0.8966, 0.3908, 0.8734)

## Properties
SG: P-1
Energy relative to the lowest polymorph listed for this composition in eV/atom: 0.000
Energy with MP2020 corrections in eV for the cell shown: -228.53
Size of the total moment in μB/cell: 28.00
Energy of formation in eV/atom: -2.03